(1)
DFT (r2SCAN) results for a relaxed structure of Cu6PbO8.

abc: 9.232 9.232 9.232
angles: 90.00 90.00 90.00
Space group Fm-3m (No. 225)
One atom of each set of equivalent atoms:
Cu1 0.000 0.250 0.250 [24 per cell]
Pb1 0.000 0.000 0.000 [4 per cell]
O1 0.144 0.144 0.144 [32 per cell]

## Properties
- final energy (eV per atom) = -12.062
- total magnetization (μB per formula unit) = 0.00
- ΔH_f (0 K) (eV per atom) = -0.79

(2)
DFT (r2SCAN) results for a relaxed structure of CuPdO2.

abc: 2.937 3.020 5.265
angles: 90.00 90.00 90.00
Space group Pmmm (No. 47)
One atom of each set of equivalent atoms:
Cu1 0.000 0.000 0.000 [1 per cell]
Pd1 0.500 0.500 0.500 [1 per cell]
O1 0.500 0.000 0.240 [2 per cell]

## Properties
- final energy (eV per atom) = -12.105
- total magnetization (μB per formula unit) = 0.01
- ΔH_f (0 K) (eV per atom) = -0.67

(3)
DFT (r2SCAN) results for a relaxed structure of CuPdO2.

abc: 5.248 4.190 4.216
angles: 90.00 90.00 90.00
Space group Pmna (No. 53)
One atom of each set of equivalent atoms:
Cu1 0.000 0.000 0.000 [2 per cell]
Pd1 0.000 0.500 0.500 [2 per cell]
O1 0.250 0.234 0.250 [4 per cell]

## Properties
- final energy (eV per atom) = -12.171
- total magnetization (μB per formula unit) = 0.00
- ΔH_f (0 K) (eV per atom) = -0.73

(4)
DFT (r2SCAN) results for a relaxed structure of Rb3Cu5O4.

abc: 9.853 7.347 14.329
angles: 90.00 106.72 90.00
Space group P2_1/c (No. 14)
One atom of each set of equivalent atoms:
Rb1 0.102 0.165 0.093 [4 per cell]
Rb2 0.271 0.715 0.081 [4 per cell]
Rb3 0.324 0.086 0.894 [4 per cell]
Cu1 0.062 0.672 0.742 [4 per cell]
Cu2 0.066 0.081 0.378 [4 per cell]
Cu3 0.299 0.558 0.864 [4 per cell]
Cu4 0.433 0.049 0.234 [4 per cell]
Cu5 0.461 0.199 0.621 [4 per cell]
O1 0.006 0.190 0.889 [4 per cell]
O2 0.132 0.653 0.876 [4 per cell]
O3 0.394 0.070 0.102 [4 per cell]
O4 0.471 0.036 0.366 [4 per cell]

## Properties
- final energy (eV per atom) = -10.939
- total magnetization (μB per formula unit) = 0.00
- ΔH_f (0 K) (eV per atom) = -0.95